Model A:
A plane-wave DFT calculation with PBE with a Hubbard U was carried out for a relaxed structure of LiMnP3H10O14.

The structure in POSCAR format:
```
LiMnP3H10O14
1.0
7.3059 0.0000 0.0000
0.6509 10.0232 0.0000
3.3371 4.5890 8.3280
Li Mn P H O
2 2 6 20 28
Direct
0.1278 0.3203 0.3199
0.8722 0.6797 0.6801
0.4424 0.2879 0.8059
0.5576 0.7121 0.1941
0.0087 0.1375 0.1564
0.0883 0.2003 0.6931
0.1680 0.6771 0.0981
0.8320 0.3229 0.9019
0.9117 0.7997 0.3069
0.9913 0.8625 0.8436
0.1869 0.6410 0.4423
0.1969 0.5167 0.7823
0.2003 0.0386 0.3818
0.2408 0.9178 0.5307
0.2931 0.4888 0.5036
0.3730 0.9858 0.1178
0.4057 0.5825 0.7720
0.4215 0.9386 0.2739
0.4272 0.1921 0.3128
0.4807 0.3054 0.1286
0.5193 0.6946 0.8714
0.5728 0.8079 0.6872
0.5785 0.0614 0.7261
0.5943 0.4175 0.2280
0.6270 0.0142 0.8822
0.7069 0.5112 0.4964
0.7592 0.0822 0.4693
0.7997 0.9614 0.6182
0.8031 0.4833 0.2177
0.8131 0.3590 0.5577
0.0038 0.1612 0.2946
0.0170 0.2448 0.5554
0.0520 0.5234 0.2091
0.0886 0.7996 0.1580
0.1201 0.0224 0.7729
0.1294 0.7466 0.9287
0.2039 0.1464 0.0383
0.2713 0.2875 0.6614
0.3040 0.5921 0.4136
0.3104 0.9941 0.4182
0.3319 0.4984 0.7787
0.3866 0.6900 0.0550
0.4244 0.2996 0.2363
0.4600 0.9270 0.1759
0.5400 0.0730 0.8241
0.5756 0.7004 0.7637
0.6134 0.3100 0.9450
0.6681 0.5016 0.2213
0.6896 0.0059 0.5818
0.6960 0.4079 0.5864
0.7287 0.7125 0.3386
0.7961 0.8536 0.9617
0.8706 0.2534 0.0713
0.8799 0.9776 0.2271
0.9114 0.2004 0.8420
0.9480 0.4766 0.7909
0.9830 0.7552 0.4446
0.9962 0.8388 0.7054
```

Properties
The volume is 10.515 Å³ per atom. Its space group is No. 2.



Model B:
A plane-wave DFT calculation with PBE with a Hubbard U was carried out for a relaxed structure of LiMnP3H10O14.

The structure in POSCAR format:
```
LiMnP3H10O14
1.0
7.5072 0.0000 0.0000
0.2943 9.5488 0.0000
2.4941 4.0004 9.0990
Li Mn P H O
2 2 6 20 28
Direct
0.0283 0.3013 0.3756
0.9717 0.6987 0.6244
0.4408 0.5496 0.7228
0.5592 0.4504 0.2772
0.0162 0.1564 0.1356
0.0839 0.1754 0.7136
0.1492 0.6609 0.1143
0.8508 0.3391 0.8857
0.9161 0.8246 0.2864
0.9838 0.8436 0.8644
0.2084 0.9495 0.3582
0.2844 0.5869 0.4458
0.2873 0.3774 0.1553
0.2985 0.4091 0.5396
0.3444 0.0614 0.9674
0.3519 0.2149 0.2362
0.3959 0.8593 0.4937
0.4051 0.9635 0.2505
0.4384 0.7550 0.0176
0.4875 0.1265 0.4021
0.5125 0.8735 0.5979
0.5616 0.2450 0.9824
0.5949 0.0365 0.7495
0.6041 0.1407 0.5063
0.6481 0.7851 0.7638
0.6556 0.9386 0.0326
0.7015 0.5909 0.4604
0.7127 0.6226 0.8447
0.7156 0.4131 0.5542
0.7916 0.0505 0.6418
0.0069 0.1818 0.2712
0.0107 0.1830 0.5864
0.0650 0.5042 0.2099
0.0924 0.7876 0.1754
0.1059 0.0021 0.8198
0.1206 0.7254 0.9529
0.1977 0.1651 0.0315
0.2547 0.2683 0.6891
0.3200 0.4921 0.4355
0.3400 0.9825 0.3376
0.3657 0.6603 0.0914
0.3873 0.3253 0.1971
0.4366 0.8008 0.5851
0.4511 0.9995 0.9456
0.5489 0.0005 0.0544
0.5634 0.1992 0.4149
0.6127 0.6747 0.8029
0.6343 0.3397 0.9086
0.6600 0.0175 0.6624
0.6800 0.5079 0.5645
0.7453 0.7317 0.3109
0.8023 0.8349 0.9685
0.8794 0.2746 0.0471
0.8941 0.9979 0.1802
0.9076 0.2124 0.8246
0.9350 0.4958 0.7901
0.9893 0.8170 0.4136
0.9931 0.8182 0.7288
```

Properties
The volume is 11.246 Å³ per atom. Its space group is No. 2.



Most stable one: model A, least stable one: model B.



Model A:
A plane-wave DFT calculation with PBE with a Hubbard U was carried out for a relaxed structure of LiMnP4H4O14.

The structure in POSCAR format:
```
LiMnP4H4O14
1.0
5.0389 0.0000 0.0000
2.0942 6.9632 0.0000
1.2304 0.5421 7.7677
Li Mn P H O
1 1 4 4 14
Direct
0.0000 0.0000 0.0000
0.0000 0.5000 0.0000
0.3237 0.2160 0.3087
0.4026 0.6124 0.2288
0.5974 0.3876 0.7712
0.6763 0.7840 0.6913
0.0983 0.7902 0.4275
0.3026 0.0043 0.6234
0.6974 0.9957 0.3766
0.9017 0.2098 0.5725
0.1758 0.2381 0.1519
0.1837 0.1525 0.4808
0.2368 0.6549 0.0749
0.2850 0.4084 0.8148
0.2936 0.7745 0.3542
0.3548 0.4254 0.3410
0.3675 0.9158 0.7290
0.6325 0.0842 0.2710
0.6452 0.5746 0.6590
0.7064 0.2255 0.6458
0.7150 0.5916 0.1852
0.7632 0.3451 0.9251
0.8163 0.8475 0.5192
0.8242 0.7619 0.8481
```

Properties
The volume is 11.356 Å³ per atom. Its space group is No. 2.



Model B:
A plane-wave DFT calculation with PBE with a Hubbard U was carried out for a relaxed structure of LiMnP4H4O14.

The structure in POSCAR format:
```
LiMnP4H4O14
1.0
-4.2692 -5.2366 2.6206
2.4883 2.9144 7.8847
-7.5891 4.3872 5.4740
Li Mn P H O
2 2 8 8 28
Direct
0.0000 0.0000 0.0001
0.9999 0.5003 0.4998
0.4998 0.4999 0.5000
0.4998 0.9999 0.9999
0.2197 0.9858 0.3154
0.2196 0.4857 0.8156
0.7805 0.0143 0.6844
0.7805 0.5143 0.1846
0.6257 0.9172 0.3104
0.6257 0.4174 0.8104
0.3743 0.0826 0.6896
0.3744 0.5827 0.1895
0.7876 0.1663 0.2761
0.7877 0.6665 0.7760
0.2124 0.8335 0.7240
0.2124 0.3336 0.2239
0.9707 0.8352 0.5349
0.9706 0.3351 0.0350
0.0295 0.1649 0.4650
0.0295 0.6648 0.9651
0.2544 0.9795 0.1638
0.2545 0.4794 0.6640
0.7457 0.0205 0.8360
0.7455 0.5205 0.3362
0.1594 0.1424 0.3259
0.1594 0.6423 0.8260
0.8406 0.8576 0.6739
0.8406 0.3577 0.1741
0.6966 0.9353 0.1483
0.6964 0.4355 0.6483
0.3035 0.0646 0.8518
0.3035 0.5647 0.3516
0.4125 0.2611 0.5580
0.4129 0.7612 0.0578
0.5866 0.7387 0.4423
0.5875 0.2389 0.9420
0.4239 0.9835 0.3441
0.4237 0.4833 0.8445
0.5763 0.0167 0.6556
0.5763 0.5167 0.1556
0.7707 0.0357 0.3329
0.7708 0.5358 0.8328
0.2292 0.9642 0.6672
0.2293 0.4643 0.1671
0.0621 0.8142 0.4482
0.0621 0.3141 0.9483
0.9380 0.1859 0.5517
0.9381 0.6858 0.0519
```

Properties
The volume is 11.475 Å³ per atom.



Most stable one: model B, least stable one: model A.



Model A:
A plane-wave DFT calculation with PBE with a Hubbard U was carried out for a relaxed structure of Li3MnP2HO8.

The structure in POSCAR format:
```
Li3MnP2HO8
1.0
-7.1992 -2.0206 3.0701
1.6955 6.8126 4.1202
-4.6567 5.6431 -5.9163
Li Mn P H O
12 4 8 4 32
Direct
0.2503 0.7501 0.9999
0.7503 0.2501 0.9999
0.5002 0.0000 0.4999
0.0004 0.5002 0.4999
0.6288 0.8692 0.1234
0.1288 0.3691 0.1233
0.8789 0.1192 0.6233
0.3788 0.6192 0.6234
0.1212 0.8806 0.3767
0.6212 0.3806 0.3767
0.3711 0.1306 0.8768
0.8712 0.6306 0.8767
0.5000 0.5002 0.0000
0.7499 0.7501 0.5002
0.9999 0.0002 0.0000
0.2500 0.2502 0.5000
0.3552 0.1057 0.1813
0.8552 0.6057 0.1813
0.6051 0.3557 0.6814
0.1052 0.8557 0.6813
0.3946 0.6443 0.3189
0.8947 0.1443 0.3189
0.6447 0.8943 0.8188
0.1446 0.3944 0.8188
0.1245 0.6248 0.2495
0.6247 0.1248 0.2496
0.3747 0.8748 0.7496
0.8744 0.3747 0.7494
0.3423 0.2852 0.1257
0.8423 0.7852 0.1257
0.5923 0.5351 0.6257
0.0924 0.0352 0.6257
0.4079 0.4649 0.3744
0.9078 0.9649 0.3744
0.6578 0.7149 0.8744
0.1578 0.2149 0.8743
0.5450 0.0855 0.1486
0.0450 0.5854 0.1487
0.7950 0.3354 0.6487
0.2950 0.8355 0.6486
0.2051 0.6645 0.3516
0.7051 0.1645 0.3515
0.4551 0.9145 0.8515
0.9551 0.4145 0.8516
0.2377 0.9741 0.1021
0.7376 0.4741 0.1022
0.4876 0.2241 0.6022
0.9876 0.7241 0.6022
0.5125 0.7760 0.3978
0.0125 0.2760 0.3978
0.7626 0.0260 0.8977
0.2626 0.5261 0.8977
0.4335 0.6762 0.1539
0.9335 0.1760 0.1539
0.6835 0.9261 0.6538
0.1834 0.4261 0.6538
0.3164 0.0739 0.3462
0.8165 0.5739 0.3463
0.5664 0.3239 0.8463
0.0665 0.8239 0.8462
```

Properties
The volume is 10.047 Å³ per atom.



Model B:
A plane-wave DFT calculation with PBE with a Hubbard U was carried out for a relaxed structure of Li3MnP2HO8.

The structure in POSCAR format:
```
Li3MnP2HO8
1.0
4.9599 0.0000 0.0000
0.0000 8.4235 0.0000
-1.8406 0.0000 7.5492
Li Mn P H O
6 2 4 2 16
Direct
0.0809 0.0000 0.3161
0.1352 0.8465 0.6119
0.3901 0.5530 0.9443
0.6099 0.0530 0.0557
0.8648 0.3465 0.3881
0.9191 0.5000 0.6839
0.2495 0.2030 0.7481
0.7505 0.7030 0.2519
0.1157 0.8490 0.9738
0.3773 0.5641 0.5292
0.6227 0.0641 0.4708
0.8843 0.3490 0.0262
0.2970 0.2061 0.2423
0.7030 0.7061 0.7577
0.0397 0.2602 0.1999
0.0865 0.3913 0.9064
0.1742 0.6870 0.4268
0.2178 0.4150 0.5649
0.2412 0.0016 0.9140
0.3486 0.7406 0.0772
0.3730 0.0286 0.5526
0.4935 0.1346 0.2768
0.5065 0.6346 0.7232
0.6270 0.5286 0.4474
0.6514 0.2406 0.9228
0.7588 0.5016 0.0860
0.7822 0.9150 0.4351
0.8258 0.1870 0.5732
0.9135 0.8913 0.0936
0.9603 0.7602 0.8001
```

Properties
The volume is 10.513 Å³ per atom. Its space group is No. 4.



Most stable one: model A, least stable one: model B.



Model A:
A plane-wave DFT calculation with PBE with a Hubbard U was carried out for a relaxed structure of LiMnP3H8O13.

The structure in POSCAR format:
```
LiMnP3H8O13
1.0
7.1365 0.0000 0.0000
1.5816 7.5482 0.0000
2.6989 0.5021 9.6359
Li Mn P H O
2 2 6 16 26
Direct
0.0000 0.0000 0.0000
0.0000 0.5000 0.5000
0.1814 0.1910 0.2380
0.8186 0.8090 0.7620
0.2407 0.8046 0.4775
0.3269 0.8055 0.7428
0.4059 0.5390 0.2691
0.5941 0.4610 0.7309
0.6731 0.1945 0.2572
0.7593 0.1954 0.5225
0.0790 0.2591 0.7955
0.0992 0.6581 0.0849
0.1436 0.3381 0.9885
0.1815 0.1814 0.5697
0.3096 0.3054 0.6018
0.3099 0.8638 0.1018
0.3505 0.3751 0.9947
0.3608 0.9810 0.9660
0.6392 0.0190 0.0340
0.6495 0.6249 0.0053
0.6901 0.1362 0.8982
0.6904 0.6946 0.3982
0.8185 0.8186 0.4303
0.8564 0.6619 0.0115
0.9008 0.3419 0.9151
0.9210 0.7409 0.2045
0.0237 0.2532 0.8982
0.0799 0.7109 0.5634
0.1111 0.8546 0.8127
0.1735 0.2854 0.6201
0.1928 0.9600 0.3824
0.2132 0.3769 0.0522
0.2401 0.4375 0.3259
0.2707 0.9844 0.0601
0.3625 0.8604 0.5768
0.3808 0.5900 0.7467
0.4141 0.6520 0.1370
0.4193 0.6570 0.3916
0.4761 0.8780 0.7913
0.5239 0.1220 0.2087
0.5807 0.3430 0.6084
0.5859 0.3480 0.8630
0.6192 0.4100 0.2533
0.6375 0.1396 0.4232
0.7293 0.0156 0.9399
0.7599 0.5625 0.6741
0.7868 0.6231 0.9478
0.8072 0.0400 0.6176
0.8265 0.7146 0.3799
0.8889 0.1454 0.1873
0.9201 0.2891 0.4366
0.9763 0.7468 0.1018
```

Properties
The volume is 9.982 Å³ per atom. Its space group is No. 2.



Model B:
A plane-wave DFT calculation with PBE with a Hubbard U was carried out for a relaxed structure of LiMnP3H8O13.

The structure in POSCAR format:
```
LiMnP3H8O13
1.0
7.3617 0.0000 0.0000
1.8082 7.6160 0.0000
2.7151 0.4366 9.7598
Li Mn P H O
2 2 6 16 26
Direct
0.1958 0.1833 0.2360
0.8042 0.8167 0.7640
0.0000 0.0000 0.0000
0.0000 0.5000 0.5000
0.2452 0.8060 0.4765
0.3316 0.8059 0.7430
0.4088 0.5431 0.2712
0.5912 0.4569 0.7288
0.6684 0.1941 0.2570
0.7548 0.1940 0.5235
0.0745 0.2640 0.7931
0.0970 0.6419 0.0880
0.1476 0.3479 0.9918
0.1898 0.1760 0.5697
0.3117 0.2987 0.6029
0.3165 0.8653 0.1019
0.3468 0.3785 0.9955
0.3721 0.9665 0.9614
0.6279 0.0335 0.0386
0.6532 0.6215 0.0045
0.6835 0.1347 0.8981
0.6883 0.7013 0.3971
0.8102 0.8240 0.4303
0.8524 0.6521 0.0082
0.9030 0.3581 0.9120
0.9255 0.7360 0.2069
0.0176 0.2601 0.8937
0.0939 0.7077 0.5586
0.1208 0.8555 0.8148
0.1791 0.2821 0.6172
0.1950 0.9601 0.3851
0.2135 0.3876 0.0524
0.2451 0.4498 0.3290
0.2785 0.9801 0.0527
0.3578 0.8576 0.5796
0.3859 0.5922 0.7459
0.4138 0.6533 0.1404
0.4269 0.6589 0.3911
0.4746 0.8785 0.7891
0.5254 0.1215 0.2109
0.5731 0.3411 0.6089
0.5862 0.3467 0.8596
0.6141 0.4078 0.2541
0.6422 0.1424 0.4204
0.7215 0.0199 0.9473
0.7549 0.5502 0.6710
0.7865 0.6124 0.9476
0.8050 0.0399 0.6149
0.8209 0.7179 0.3828
0.8792 0.1445 0.1852
0.9061 0.2923 0.4414
0.9824 0.7399 0.1063
```

Properties
The volume is 10.523 Å³ per atom. Its space group is No. 2.



Most stable one: model A, least stable one: model B.